1.
# BaNd2O4

An optimized crystal structure of BaNd2O4 (PBE-GGA, Materials Project).

Properties
E, eV/atom: -7.5847
Formation enthalpy at 0 K, eV per atom: -3.5134
Symmetry: Pnma
Crystal system: orthorhombic

```
BaNd2O4
1.0
10.743 0.000 0.000
0.000 3.634 0.000
0.000 0.000 12.604
Ba Nd O
4 8 16
Cartesian
2.669 0.908 1.853
2.703 2.725 8.155
8.040 0.908 4.449
8.075 2.725 10.751
0.815 0.908 11.190
0.848 0.908 4.898
4.524 2.725 11.200
4.556 2.725 4.888
6.187 0.908 7.716
6.219 0.908 1.404
9.895 2.725 7.706
9.928 2.725 1.414
0.164 2.725 9.866
0.763 0.908 7.262
1.306 2.725 0.236
2.271 2.725 4.167
3.100 0.908 10.469
4.066 0.908 6.538
4.608 2.725 0.960
5.207 0.908 3.564
5.536 2.725 9.040
6.135 0.908 11.644
6.678 2.725 6.066
7.643 2.725 2.135
8.472 0.908 8.437
9.437 0.908 12.368
9.980 2.725 5.342
10.579 0.908 2.738
```

=====

2.
# BaNdO3

An optimized crystal structure of BaNdO3 (PBE-GGA, Materials Project).

Properties
E, eV/atom: -6.8886
Formation enthalpy at 0 K, eV per atom: -2.9946
Symmetry: R-3c
Crystal system: trigonal

```
BaNdO3
1.0
3.237 1.869 5.163
-3.237 1.869 5.163
0.000 -3.738 5.163
Ba Nd O
2 2 6
Cartesian
0.000 0.000 3.872
0.000 0.000 11.616
0.000 0.000 0.000
0.000 0.000 7.744
-1.891 0.462 6.453
-1.346 -1.407 9.034
0.546 -1.869 6.453
-0.546 1.869 9.034
1.346 1.407 6.453
1.891 -0.462 9.034
```

=====

3.
# BaNdO3

An optimized crystal structure of BaNdO3 (PBE-GGA, Materials Project).

Properties
E, eV/atom: -6.8259
Formation enthalpy at 0 K, eV per atom: -2.9319
Symmetry: Pm-3m
Crystal system: cubic

```
BaNdO3
1.0
4.557 0.000 0.000
0.000 4.557 0.000
0.000 0.000 4.557
Ba Nd O
1 1 3
Cartesian
0.000 0.000 0.000
2.278 2.278 2.278
0.000 2.278 2.278
2.278 0.000 2.278
2.278 2.278 0.000
```

=====

4.
# Ba4Nd4Zn3PtO15

An optimized crystal structure of Ba4Nd4Zn3PtO15 (PBE-GGA, Materials Project).

Properties
E, eV/atom: -6.5329
Formation enthalpy at 0 K, eV per atom: -2.8102
Symmetry: P6_3mc
Crystal system: hexagonal

```
Ba4Nd4Zn3PtO15
1.0
11.882 0.000 0.000
-5.941 10.290 0.000
0.000 0.000 6.871
Ba Nd Zn Pt O
8 8 6 2 30
Cartesian
0.000 3.562 0.000
-2.856 8.509 0.000
0.000 6.860 4.675
3.085 1.781 3.435
2.856 8.509 0.000
5.941 3.430 1.240
8.797 1.781 3.435
5.941 6.728 3.435
0.000 0.000 1.257
0.000 0.000 4.692
-2.560 5.382 2.348
2.560 5.382 2.348
0.000 9.816 2.348
5.941 0.474 5.783
3.381 4.908 5.783
8.501 4.908 5.783
0.000 3.526 3.552
-2.887 8.527 3.552
3.054 1.763 0.117
2.887 8.527 3.552
8.828 1.763 0.117
5.941 6.763 0.117
0.000 6.860 1.080
5.941 3.430 4.515
-1.672 4.064 4.407
-3.257 6.810 4.407
0.000 1.719 2.832
-4.452 9.430 2.832
1.488 0.859 6.268
-1.484 6.003 6.850
0.000 5.168 2.266
-1.465 7.706 2.266
1.672 4.064 4.407
-1.585 9.706 4.407
4.355 0.584 0.972
2.684 3.480 0.972
1.484 6.003 6.850
0.000 8.574 6.850
1.465 7.706 2.266
4.475 2.584 5.701
5.941 1.716 3.415
4.456 4.287 3.415
3.257 6.810 4.407
1.585 9.706 4.407
7.526 0.584 0.972
4.269 6.226 0.972
7.406 2.584 5.701
5.941 5.122 5.701
7.425 4.287 3.415
4.452 9.430 2.832
10.393 0.859 6.268
5.941 8.571 6.268
9.198 3.480 0.972
7.613 6.226 0.972
```

=====

5.
# Ba3NdRu2O9

An optimized crystal structure of Ba3NdRu2O9 (PBE-GGA, Materials Project).

Properties
E, eV/atom: -7.0687
Formation enthalpy at 0 K, eV per atom: -2.5739
Symmetry: C2/c
Crystal system: monoclinic

```
Ba3NdRu2O9
1.0
3.006 -5.207 0.000
3.006 5.207 0.000
-0.148 0.000 14.913
Ba Nd Ru O
6 2 4 18
Cartesian
2.969 5.202 3.728
2.895 -5.202 11.185
2.862 1.733 13.389
2.927 1.733 8.980
2.936 -1.733 5.933
3.001 -1.733 1.524
0.000 0.000 0.000
-0.074 0.000 7.456
2.924 1.737 4.977
3.014 1.737 2.480
2.850 -1.737 12.433
2.940 -1.737 9.936
1.549 2.547 3.674
1.476 0.936 6.021
2.875 3.360 6.066
3.062 3.360 1.390
1.669 0.935 1.309
1.402 -0.936 13.477
1.595 -0.935 8.765
2.969 0.095 3.728
4.389 2.547 3.782
1.475 -2.547 11.131
2.895 -0.095 11.185
4.268 0.935 6.148
4.461 0.936 1.436
4.194 -0.935 13.604
2.801 -3.360 13.523
2.988 -3.360 8.846
4.387 -0.936 8.892
4.315 -2.547 11.238
```

=====

6.
# Ba3NdRu2O9

An optimized crystal structure of Ba3NdRu2O9 (PBE-GGA, Materials Project).

Properties
E, eV/atom: -7.0688
Formation enthalpy at 0 K, eV per atom: -2.5739
Symmetry: P6_3/mmc
Crystal system: hexagonal

```
Ba3NdRu2O9
1.0
6.010 0.000 0.000
-3.005 5.205 0.000
0.000 0.000 14.920
Ba Nd Ru O
6 2 4 18
Cartesian
0.000 0.000 3.730
0.000 0.000 11.190
0.000 3.470 1.535
0.000 3.470 5.925
3.005 1.735 8.995
3.005 1.735 13.385
0.000 0.000 0.000
0.000 0.000 7.460
0.000 3.470 9.942
0.000 3.470 12.438
3.005 1.735 2.482
3.005 1.735 4.978
-1.421 2.649 11.190
0.000 1.854 8.843
0.000 1.854 13.538
-1.399 4.278 8.843
-1.399 4.278 13.538
1.606 0.927 1.383
1.606 0.927 6.078
1.421 2.649 11.190
0.000 5.111 11.190
3.005 0.094 3.730
1.584 2.555 3.730
1.399 4.278 8.843
1.399 4.278 13.538
4.404 0.927 1.383
4.404 0.927 6.078
3.005 3.350 1.383
3.005 3.350 6.078
4.426 2.555 3.730
```